A relaxed structure of RbAg3S2, computed with PBE-GGA.

ρ: 4455 kg/m3
E (MP2020): -3.366 eV/atom
electronic total energy: -0.235 Ry per atom

Cell and atoms, written as CIF:
```
data_RbAg3S2
_chemical_formula_sum 'Rb4 Ag12 S8'
_space_group_name_H-M_alt 'C 1 2/m 1'
_space_group_IT_number 12
_space_group_name_Hall '-C 2y'
_cell_length_a 18.351
_cell_length_b 4.353
_cell_length_c 9.961
_cell_angle_alpha 90.00
_cell_angle_beta 117.55
_cell_angle_gamma 90.00
loop_
_atom_site_label
_atom_site_fract_x
_atom_site_fract_y
_atom_site_fract_z
Rb1 0.146 0.000 0.189
Ag1 0.053 0.000 0.773
Ag2 0.091 0.000 0.491
Ag3 0.136 0.500 0.726
S1 0.027 0.500 0.275
S2 0.204 0.000 0.751
```

A relaxed structure of La2Ni2I, computed with PBE-GGA.

ρ: 6762 kg/m3
E (MP2020): -5.398 eV/atom
electronic total energy: -0.391 Ry per atom

Cell and atoms, written as CIF:
```
data_La2Ni2I
_chemical_formula_sum 'La4 Ni4 I2'
_space_group_name_H-M_alt 'P 63/m m c'
_space_group_IT_number 194
_space_group_name_Hall '-P 6c 2c'
_cell_length_a 4.1024
_cell_length_b 4.1024
_cell_length_c 17.5936
_cell_angle_alpha 90.00
_cell_angle_beta 90.00
_cell_angle_gamma 120.00
loop_
_atom_site_label
_atom_site_fract_x
_atom_site_fract_y
_atom_site_fract_z
La1 0.0000 0.0000 0.1048
Ni1 0.3333 0.6667 0.0021
I1 0.3333 0.6667 0.7500
```

A relaxed structure of Pr3Ga2Ni6, computed with PBE-GGA.

ρ: 8139 kg/m3
electronic total energy: -0.399 Ry per atom

Cell and atoms, written as CIF:
```
data_Pr3Ga2Ni6
_chemical_formula_sum 'Pr12 Ga8 Ni24'
_space_group_name_H-M_alt 'I m -3 m'
_space_group_IT_number 229
_space_group_name_Hall '-I 4 2 3'
_cell_length_a 9.070
_cell_length_b 9.070
_cell_length_c 9.070
_cell_angle_alpha 90.00
_cell_angle_beta 90.00
_cell_angle_gamma 90.00
loop_
_atom_site_label
_atom_site_fract_x
_atom_site_fract_y
_atom_site_fract_z
Pr1 0.000 0.000 0.288
Ga1 0.250 0.250 0.250
Ni1 0.000 0.337 0.337
```

A relaxed structure of Er2InAu2, computed with PBE-GGA.

ρ: 12061 kg/m3
electronic total energy: -0.331 Ry per atom

Cell and atoms, written as CIF:
```
data_Er2InAu2
_chemical_formula_sum 'Er4 In2 Au4'
_space_group_name_H-M_alt 'P 4/m b m'
_space_group_IT_number 127
_space_group_name_Hall '-P 4 2ab'
_cell_length_a 7.976
_cell_length_b 7.976
_cell_length_c 3.650
_cell_angle_alpha 90.00
_cell_angle_beta 90.00
_cell_angle_gamma 90.00
loop_
_atom_site_label
_atom_site_fract_x
_atom_site_fract_y
_atom_site_fract_z
Er1 0.171 0.329 0.000
In1 0.000 0.000 0.500
Au1 0.128 0.628 0.500
```

A relaxed structure of SrMg3SiN4, computed with PBE-GGA.

ρ: 3528 kg/m3
E (MP2020): -6.174 eV/atom
electronic total energy: -0.442 Ry per atom

Cell and atoms, written as CIF:
```
data_SrMg3SiN4
_chemical_formula_sum 'Sr16 Mg48 Si16 N64'
_space_group_name_H-M_alt 'I 41/a'
_space_group_IT_number 88
_cell_length_a 11.632
_cell_length_b 11.632
_cell_length_c 13.616
_cell_angle_alpha 90.00
_cell_angle_beta 90.00
_cell_angle_gamma 90.00
loop_
_space_group_symop_operation_xyz
'x,y,z'
'-x,-y,-z'
'-y+3/4,x+1/4,z+1/4'
'y+3/4,-x+1/4,-z+1/4'
'-x+1/2,-y,z+1/2'
'x+1/2,y,-z+1/2'
'y+3/4,-x+3/4,z+3/4'
'-y+3/4,x+3/4,-z+3/4'
'x+1/2,y+1/2,z+1/2'
'-x+1/2,-y+1/2,-z+1/2'
'-y+1/4,x+3/4,z+3/4'
'y+1/4,-x+3/4,-z+3/4'
'-x,-y+1/2,z'
'x,y+1/2,-z'
'y+1/4,-x+1/4,z+1/4'
'-y+1/4,x+1/4,-z+1/4'
loop_
_atom_site_label
_atom_site_fract_x
_atom_site_fract_y
_atom_site_fract_z
Sr1 0.240 0.008 0.321
Mg1 0.006 0.392 0.820
Mg2 0.022 0.409 0.560
Mg3 0.026 0.404 0.062
Si1 0.035 0.427 0.307
N1 0.046 0.094 0.417
N2 0.054 0.077 0.200
N3 0.080 0.074 0.686
N4 0.094 0.087 0.948
```

A relaxed structure of Eu3As4, computed with PBE-GGA.

ρ: 6658 kg/m3
E above lowest polymorph: 0.0 meV per atom
electronic total energy: -0.594 Ry per atom

Cell and atoms, written as CIF:
```
data_Eu3As4
_chemical_formula_sum 'Eu24 As32'
_space_group_name_H-M_alt 'F d d 2'
_space_group_IT_number 43
_space_group_name_Hall 'F 2 -2d'
_cell_length_a 14.740
_cell_length_b 17.503
_cell_length_c 5.844
_cell_angle_alpha 90.00
_cell_angle_beta 90.00
_cell_angle_gamma 90.00
loop_
_atom_site_label
_atom_site_fract_x
_atom_site_fract_y
_atom_site_fract_z
Eu1 0.000 0.000 0.000
Eu2 0.002 0.167 0.470
As1 0.083 0.332 0.469
As2 0.089 0.496 0.004
```

A relaxed structure of BeAlRh2, computed with PBE-GGA.

ρ: 8162 kg/m3
electronic total energy: -0.472 Ry per atom

Cell and atoms, written as CIF:
```
data_BeAlRh2
_chemical_formula_sum 'Be4 Al4 Rh8'
_space_group_name_H-M_alt 'F m -3 m'
_space_group_IT_number 225
_space_group_name_Hall '-F 4 2 3'
_cell_length_a 5.817
_cell_length_b 5.817
_cell_length_c 5.817
_cell_angle_alpha 90.00
_cell_angle_beta 90.00
_cell_angle_gamma 90.00
loop_
_atom_site_label
_atom_site_fract_x
_atom_site_fract_y
_atom_site_fract_z
Be1 0.000 0.000 0.000
Al1 0.000 0.000 0.500
Rh1 0.250 0.250 0.250
```

A relaxed structure of Mo3WSe4S4, computed with PBE-GGA.

ρ: 4500 kg/m3
E (MP2020): -7.247 eV/atom
E above lowest polymorph: 0.5 meV per atom
electronic total energy: -0.520 Ry per atom

Cell and atoms, written as CIF:
```
data_Mo3WSe4S4
_chemical_formula_sum 'Mo3 W1 Se4 S4'
_space_group_name_H-M_alt 'P 3 m 1'
_space_group_IT_number 156
_space_group_name_Hall 'P 3 -2"'
_cell_length_a 3.2535
_cell_length_b 3.2535
_cell_length_c 36.8606
_cell_angle_alpha 90.00
_cell_angle_beta 90.00
_cell_angle_gamma 120.00
loop_
_atom_site_label
_atom_site_fract_x
_atom_site_fract_y
_atom_site_fract_z
Mo1 0.0000 0.0000 0.0000
Mo2 0.0000 0.0000 0.3758
Mo3 0.3333 0.6667 0.1879
W1 0.3333 0.6667 0.5636
Se1 0.0000 0.0000 0.1418
Se2 0.0000 0.0000 0.2340
Se3 0.3333 0.6667 0.0461
Se4 0.3333 0.6667 0.9539
S1 0.0000 0.0000 0.5216
S2 0.0000 0.0000 0.6057
S3 0.3333 0.6667 0.3339
S4 0.3333 0.6667 0.4177
```